Compound: CaSe2O6
Source: the Materials Project database
Functional: PBE-GGA
Structure: optimized geometry

abc: 12.0586 6.9893 8.8892
angles: 53.06 90.00 90.00
Last column: nearest neighbours and their distance in Å.
Atoms (fractional coordinates):
Ca (0.9130, 0.3153, 0.7375)  6 O 2.35-2.56
Ca (0.4130, 0.6847, 0.7625)  6 O 2.35-2.56
Ca (0.5870, 0.3153, 0.2375)  6 O 2.35-2.56
Ca (0.0870, 0.6847, 0.2625)  6 O 2.35-2.56
Se (0.1343, 0.7210, 0.6580)  4 O 1.65-1.76
Se (0.6343, 0.2790, 0.8420)  4 O 1.65-1.76
Se (0.1816, 0.1512, 0.7441)  2 O 1.67-1.68
Se (0.6816, 0.8488, 0.7559)  2 O 1.67-1.68
Se (0.3184, 0.1512, 0.2441)  2 O 1.67-1.68
Se (0.8184, 0.8488, 0.2559)  2 O 1.67-1.68
Se (0.3657, 0.7210, 0.1580)  4 O 1.65-1.76
Se (0.8657, 0.2790, 0.3420)  4 O 1.65-1.76
O (0.0868, 0.3489, 0.5882)  1 Se 1.68
O (0.5129, 0.3808, 0.7376)  1 Se 1.65
O (0.8677, 0.1536, 0.5709)  1 Se 1.66
O (0.7348, 0.4864, 0.7288)  1 Se 1.68
O (0.2348, 0.5136, 0.7712)  1 Se 1.68
O (0.6034, 0.0112, 0.5629)  1 Se 1.67
O (0.0129, 0.6192, 0.7624)  1 Se 1.65
O (0.1953, 0.9500, 0.6574)  1 Se 1.76
O (0.6953, 0.0500, 0.8426)  1 Se 1.76
O (0.4132, 0.3489, 0.0882)  1 Se 1.68
O (0.1034, 0.9888, 0.9371)  1 Se 1.67
O (0.6323, 0.1536, 0.0709)  1 Se 1.66
O (0.3677, 0.8464, 0.9291)  1 Se 1.66
O (0.8966, 0.0112, 0.0629)  1 Se 1.67
O (0.5868, 0.6511, 0.9118)  1 Se 1.68
O (0.3047, 0.9500, 0.1574)  1 Se 1.76
O (0.8047, 0.0500, 0.3426)  1 Se 1.76
O (0.9871, 0.3808, 0.2376)  1 Se 1.65
O (0.3966, 0.9888, 0.4371)  1 Se 1.67
O (0.7652, 0.4864, 0.2288)  1 Se 1.68
O (0.2652, 0.5136, 0.2712)  1 Se 1.68
O (0.1323, 0.8464, 0.4291)  1 Se 1.66
O (0.4871, 0.6192, 0.2624)  1 Se 1.65
O (0.9132, 0.6511, 0.4118)  1 Se 1.68

Output
Total magnetic moment: 0.00 μB per cell
Energy of formation: -1750 meV/atom

***

Compound: NaAl3
Source: the Materials Project database
Functional: PBE-GGA
Structure: optimized geometry

abc: 5.0413 5.0413 5.0413
angles: 128.56 128.56 75.72
Last column: nearest neighbours and their distance in Å.
Atoms (fractional coordinates):
Na (0.0000, 0.0000, 0.0000)  12 Al 2.96-3.09
Al (0.7500, 0.2500, 0.5000)  8 Al 2.96-3.09, 4 Na 2.96
Al (0.2500, 0.7500, 0.5000)  4 Na 2.96, 8 Al 2.96-3.09
Al (0.5000, 0.5000, 0.0000)  8 Al 2.96, 4 Na 3.09

Output
Total magnetic moment: 0.01 μB per cell
Energy of formation: 188 meV/atom

***

Repeat the first record exactly.
Compound: CaSe2O6
Source: the Materials Project database
Functional: PBE-GGA
Structure: optimized geometry

abc: 12.0586 6.9893 8.8892
angles: 53.06 90.00 90.00
Last column: nearest neighbours and their distance in Å.
Atoms (fractional coordinates):
Ca (0.9130, 0.3153, 0.7375)  6 O 2.35-2.56
Ca (0.4130, 0.6847, 0.7625)  6 O 2.35-2.56
Ca (0.5870, 0.3153, 0.2375)  6 O 2.35-2.56
Ca (0.0870, 0.6847, 0.2625)  6 O 2.35-2.56
Se (0.1343, 0.7210, 0.6580)  4 O 1.65-1.76
Se (0.6343, 0.2790, 0.8420)  4 O 1.65-1.76
Se (0.1816, 0.1512, 0.7441)  2 O 1.67-1.68
Se (0.6816, 0.8488, 0.7559)  2 O 1.67-1.68
Se (0.3184, 0.1512, 0.2441)  2 O 1.67-1.68
Se (0.8184, 0.8488, 0.2559)  2 O 1.67-1.68
Se (0.3657, 0.7210, 0.1580)  4 O 1.65-1.76
Se (0.8657, 0.2790, 0.3420)  4 O 1.65-1.76
O (0.0868, 0.3489, 0.5882)  1 Se 1.68
O (0.5129, 0.3808, 0.7376)  1 Se 1.65
O (0.8677, 0.1536, 0.5709)  1 Se 1.66
O (0.7348, 0.4864, 0.7288)  1 Se 1.68
O (0.2348, 0.5136, 0.7712)  1 Se 1.68
O (0.6034, 0.0112, 0.5629)  1 Se 1.67
O (0.0129, 0.6192, 0.7624)  1 Se 1.65
O (0.1953, 0.9500, 0.6574)  1 Se 1.76
O (0.6953, 0.0500, 0.8426)  1 Se 1.76
O (0.4132, 0.3489, 0.0882)  1 Se 1.68
O (0.1034, 0.9888, 0.9371)  1 Se 1.67
O (0.6323, 0.1536, 0.0709)  1 Se 1.66
O (0.3677, 0.8464, 0.9291)  1 Se 1.66
O (0.8966, 0.0112, 0.0629)  1 Se 1.67
O (0.5868, 0.6511, 0.9118)  1 Se 1.68
O (0.3047, 0.9500, 0.1574)  1 Se 1.76
O (0.8047, 0.0500, 0.3426)  1 Se 1.76
O (0.9871, 0.3808, 0.2376)  1 Se 1.65
O (0.3966, 0.9888, 0.4371)  1 Se 1.67
O (0.7652, 0.4864, 0.2288)  1 Se 1.68
O (0.2652, 0.5136, 0.2712)  1 Se 1.68
O (0.1323, 0.8464, 0.4291)  1 Se 1.66
O (0.4871, 0.6192, 0.2624)  1 Se 1.65
O (0.9132, 0.6511, 0.4118)  1 Se 1.68

Output
Total magnetic moment: 0.00 μB per cell
Energy of formation: -1750 meV/atom

***

Please write out number 2 again, unchanged.
Compound: NaAl3
Source: the Materials Project database
Functional: PBE-GGA
Structure: optimized geometry

abc: 5.0413 5.0413 5.0413
angles: 128.56 128.56 75.72
Last column: nearest neighbours and their distance in Å.
Atoms (fractional coordinates):
Na (0.0000, 0.0000, 0.0000)  12 Al 2.96-3.09
Al (0.7500, 0.2500, 0.5000)  8 Al 2.96-3.09, 4 Na 2.96
Al (0.2500, 0.7500, 0.5000)  4 Na 2.96, 8 Al 2.96-3.09
Al (0.5000, 0.5000, 0.0000)  8 Al 2.96, 4 Na 3.09

Output
Total magnetic moment: 0.01 μB per cell
Energy of formation: 188 meV/atom

***

energy of formation of number 2 (NaAl3)?
188 meV/atom